Below is a geometry-optimized Ho2Al3Fe structure, with properties calculated at the meta-GGA r2SCAN level.

Properties
Space group = R-3m, No. 166

a = 5.386 Å, b = 5.386 Å, c = 5.386 Å
α = 61.48°, β = 61.48°, γ = 61.48°
Sites, in units of the cell vectors:
Ho (0.626, 0.626, 0.626)
Ho (0.374, 0.374, 0.374)
Al (0.000, 0.500, 0.000)
Al (0.500, 0.000, 0.000)
Al (0.000, 0.000, 0.500)
Fe (0.000, 0.000, 0.000)



Below is a geometry-optimized HoAl8Fe4 structure, with properties calculated at the meta-GGA r2SCAN level.

Properties
Space group = I4/mmm, No. 139

a = 4.984 Å, b = 6.632 Å, c = 6.632 Å
α = 81.89°, β = 67.97°, γ = 67.97°
Sites, in units of the cell vectors:
Ho (0.000, 0.000, 0.000)
Al (0.341, 0.659, 0.659)
Al (0.000, 0.341, 0.659)
Al (0.000, 0.659, 0.341)
Al (0.659, 0.341, 0.341)
Al (0.279, 0.222, 0.222)
Al (0.500, 0.779, 0.221)
Al (0.500, 0.221, 0.779)
Al (0.721, 0.778, 0.778)
Fe (0.500, 0.000, 0.500)
Fe (0.000, 0.500, 0.000)
Fe (0.500, 0.500, 0.000)
Fe (0.000, 0.000, 0.500)



Below is a geometry-optimized HoAl6Fe6 structure, with properties calculated at the meta-GGA r2SCAN level.

Properties
Space group = C2/m, No. 12

a = 6.548 Å, b = 6.565 Å, c = 6.566 Å
α = 135.60°, β = 98.42°, γ = 98.01°
Sites, in units of the cell vectors:
Ho (0.000, 0.000, 0.000)
Al (0.347, 0.347, 0.000)
Al (0.653, 0.653, 0.000)
Al (0.662, 0.000, 0.662)
Al (0.338, 0.000, 0.338)
Al (0.805, 0.305, 0.500)
Al (0.195, 0.695, 0.500)
Fe (0.500, 0.000, 0.000)
Fe (0.500, 0.500, 0.500)
Fe (0.000, 0.000, 0.500)
Fe (0.000, 0.500, 0.000)
Fe (0.239, 0.500, 0.739)
Fe (0.761, 0.500, 0.261)



Below is a geometry-optimized LuAl10Fe2 structure, with properties calculated at the meta-GGA r2SCAN level.

Properties
Space group = Cmcm, No. 63

a = 6.682 Å, b = 6.682 Å, c = 8.833 Å
α = 90.00°, β = 90.00°, γ = 97.34°
Sites, in units of the cell vectors:
Lu (0.873, 0.127, 0.750)
Lu (0.127, 0.873, 0.250)
Al (0.626, 0.374, 0.549)
Al (0.374, 0.626, 0.451)
Al (0.374, 0.626, 0.049)
Al (0.626, 0.374, 0.951)
Al (0.227, 0.227, 0.500)
Al (0.773, 0.773, 0.500)
Al (0.773, 0.773, 0.000)
Al (0.227, 0.227, 0.000)
Al (0.843, 0.157, 0.097)
Al (0.157, 0.843, 0.903)
Al (0.157, 0.843, 0.597)
Al (0.843, 0.157, 0.403)
Al (0.866, 0.584, 0.750)
Al (0.134, 0.416, 0.250)
Al (0.416, 0.134, 0.750)
Al (0.584, 0.866, 0.250)
Al (0.219, 0.478, 0.750)
Al (0.781, 0.522, 0.250)
Al (0.522, 0.781, 0.750)
Al (0.478, 0.219, 0.250)
Fe (0.000, 0.500, 0.500)
Fe (0.000, 0.500, 0.000)
Fe (0.500, 0.000, 0.000)
Fe (0.500, 0.000, 0.500)



Below is a geometry-optimized LuAlFe structure, with properties calculated at the meta-GGA r2SCAN level.

Properties
Space group = Amm2, No. 38

a = 5.283 Å, b = 5.283 Å, c = 8.578 Å
α = 90.00°, β = 90.00°, γ = 60.52°
Sites, in units of the cell vectors:
Lu (0.333, 0.333, 0.553)
Lu (0.669, 0.669, 0.426)
Lu (0.669, 0.669, 0.074)
Lu (0.333, 0.333, 0.947)
Al (0.996, 0.996, 0.488)
Al (0.996, 0.996, 0.012)
Al (0.834, 0.343, 0.750)
Al (0.343, 0.834, 0.750)
Fe (0.836, 0.836, 0.750)
Fe (0.176, 0.644, 0.250)
Fe (0.644, 0.176, 0.250)
Fe (0.173, 0.173, 0.250)



Below is a geometry-optimized Lu2Al3Fe structure, with properties calculated at the meta-GGA r2SCAN level.

Properties
Space group = R-3m, No. 166

a = 5.321 Å, b = 5.321 Å, c = 5.321 Å
α = 61.43°, β = 61.43°, γ = 61.43°
Sites, in units of the cell vectors:
Lu (0.626, 0.626, 0.626)
Lu (0.374, 0.374, 0.374)
Al (0.000, 0.500, 0.000)
Al (0.500, 0.000, 0.000)
Al (0.000, 0.000, 0.500)
Fe (0.000, 0.000, 0.000)



Below is a geometry-optimized Mg11AlFeSi11O36 structure, with properties calculated at the meta-GGA r2SCAN level.

Properties
Space group = P1, No. 1

a = 4.951 Å, b = 6.923 Å, c = 14.339 Å
α = 90.00°, β = 90.08°, γ = 90.11°
Sites, in units of the cell vectors:
Mg (0.057, 0.744, 0.996)
Mg (0.557, 0.748, 0.837)
Mg (0.444, 0.253, 0.828)
Mg (0.942, 0.249, 0.672)
Mg (0.059, 0.750, 0.660)
Mg (0.558, 0.750, 0.506)
Mg (0.442, 0.250, 0.494)
Mg (0.941, 0.250, 0.340)
Mg (0.056, 0.752, 0.329)
Mg (0.556, 0.748, 0.172)
Mg (0.440, 0.251, 0.163)
Al (0.499, 0.503, 0.999)
Fe (0.933, 0.257, 0.006)
Si (0.002, 0.996, 0.833)
Si (0.006, 0.506, 0.832)
Si (0.501, 0.499, 0.666)
Si (0.500, 0.001, 0.667)
Si (0.000, 0.500, 0.500)
Si (0.000, 0.000, 0.500)
Si (0.499, 0.500, 0.334)
Si (0.500, 0.000, 0.333)
Si (0.999, 0.001, 0.168)
Si (0.996, 0.498, 0.169)
Si (0.500, 0.997, 0.998)
O (0.540, 0.238, 0.964)
O (0.802, 0.940, 0.934)
O (0.815, 0.548, 0.932)
O (0.300, 0.552, 0.893)
O (0.298, 0.943, 0.898)
O (0.035, 0.246, 0.870)
O (0.963, 0.751, 0.796)
O (0.706, 0.446, 0.766)
O (0.703, 0.054, 0.768)
O (0.202, 0.444, 0.731)
O (0.203, 0.055, 0.733)
O (0.465, 0.750, 0.700)
O (0.535, 0.250, 0.631)
O (0.798, 0.554, 0.600)
O (0.798, 0.947, 0.601)
O (0.298, 0.553, 0.565)
O (0.298, 0.947, 0.566)
O (0.034, 0.250, 0.534)
O (0.965, 0.750, 0.466)
O (0.702, 0.053, 0.435)
O (0.701, 0.447, 0.435)
O (0.201, 0.053, 0.399)
O (0.201, 0.447, 0.399)
O (0.465, 0.750, 0.368)
O (0.534, 0.250, 0.300)
O (0.798, 0.555, 0.269)
O (0.796, 0.947, 0.268)
O (0.297, 0.553, 0.233)
O (0.300, 0.947, 0.231)
O (0.036, 0.248, 0.205)
O (0.963, 0.753, 0.133)
O (0.707, 0.061, 0.100)
O (0.706, 0.443, 0.105)
O (0.186, 0.446, 0.068)
O (0.197, 0.062, 0.065)
O (0.461, 0.762, 0.037)



Below is a geometry-optimized Na6Al4FeSi8O26 structure, with properties calculated at the meta-GGA r2SCAN level.

Properties
Space group = P1, No. 1

a = 7.979 Å, b = 8.449 Å, c = 10.546 Å
α = 110.99°, β = 89.94°, γ = 118.18°
Sites, in units of the cell vectors:
Na (0.148, 0.302, 0.880)
Na (0.279, 0.541, 0.558)
Na (0.481, 0.935, 0.166)
Na (0.544, 0.066, 0.833)
Na (0.737, 0.458, 0.442)
Na (0.845, 0.699, 0.121)
Al (0.159, 0.705, 0.346)
Al (0.454, 0.296, 0.654)
Al (0.750, 0.884, 0.654)
Al (0.867, 0.116, 0.346)
Fe (0.985, 0.000, 0.000)
Si (0.142, 0.884, 0.655)
Si (0.151, 0.703, 0.869)
Si (0.260, 0.116, 0.345)
Si (0.535, 0.701, 0.871)
Si (0.549, 0.700, 0.347)
Si (0.449, 0.295, 0.130)
Si (0.836, 0.300, 0.130)
Si (0.849, 0.300, 0.653)
O (0.061, 0.799, 0.985)
O (0.063, 0.720, 0.497)
O (0.023, 0.463, 0.791)
O (0.273, 0.925, 0.326)
O (0.195, 0.784, 0.746)
O (0.042, 0.058, 0.289)
O (0.326, 0.630, 0.360)
O (0.364, 0.748, 0.936)
O (0.264, 0.198, 0.014)
O (0.344, 0.280, 0.503)
O (0.581, 0.783, 0.749)
O (0.430, 0.464, 0.797)
O (0.654, 0.901, 0.325)
O (0.346, 0.076, 0.674)
O (0.559, 0.536, 0.208)
O (0.412, 0.215, 0.253)
O (0.659, 0.710, 0.482)
O (0.712, 0.807, 0.998)
O (0.618, 0.252, 0.064)
O (0.695, 0.370, 0.640)
O (0.983, 0.942, 0.712)
O (0.799, 0.218, 0.252)
O (0.751, 0.098, 0.674)
O (0.967, 0.537, 0.203)
O (0.949, 0.289, 0.518)
O (0.909, 0.195, 0.003)



Below is a geometry-optimized Na6Al3Fe3Te4O24 structure, with properties calculated at the meta-GGA r2SCAN level.

Properties
Space group = I-43d, No. 220

a = 10.679 Å, b = 10.679 Å, c = 10.679 Å
α = 109.47°, β = 109.47°, γ = 109.47°
Sites, in units of the cell vectors:
Na (0.126, 0.376, 0.750)
Na (0.374, 0.124, 0.250)
Na (0.250, 0.374, 0.124)
Na (0.750, 0.126, 0.376)
Na (0.124, 0.250, 0.374)
Na (0.376, 0.750, 0.126)
Na (0.876, 0.626, 0.250)
Na (0.624, 0.874, 0.750)
Na (0.750, 0.624, 0.874)
Na (0.250, 0.876, 0.626)
Na (0.874, 0.750, 0.624)
Na (0.626, 0.250, 0.876)
Al (0.125, 0.875, 0.250)
Al (0.375, 0.625, 0.750)
Al (0.750, 0.375, 0.625)
Al (0.250, 0.125, 0.875)
Al (0.625, 0.750, 0.375)
Al (0.875, 0.250, 0.125)
Fe (0.875, 0.125, 0.750)
Fe (0.625, 0.375, 0.250)
Fe (0.250, 0.625, 0.375)
Fe (0.750, 0.875, 0.125)
Fe (0.375, 0.250, 0.625)
Fe (0.125, 0.750, 0.875)
Te (0.502, 0.500, 0.000)
Te (0.000, 0.502, 0.500)
Te (0.998, 0.998, 0.998)
Te (0.500, 0.000, 0.502)
Te (0.002, 0.500, 0.000)
Te (0.498, 0.498, 0.498)
Te (0.000, 0.002, 0.500)
Te (0.500, 0.000, 0.002)
O (0.389, 0.575, 0.895)
O (0.180, 0.494, 0.605)
O (0.111, 0.006, 0.186)
O (0.320, 0.925, 0.314)
O (0.186, 0.111, 0.006)
O (0.314, 0.320, 0.925)
O (0.895, 0.389, 0.575)
O (0.605, 0.180, 0.494)
O (0.925, 0.314, 0.320)
O (0.006, 0.186, 0.111)
O (0.494, 0.605, 0.180)
O (0.575, 0.895, 0.389)
O (0.617, 0.422, 0.096)
O (0.826, 0.521, 0.404)
O (0.883, 0.979, 0.805)
O (0.674, 0.078, 0.695)
O (0.805, 0.883, 0.979)
O (0.695, 0.674, 0.078)
O (0.096, 0.617, 0.422)
O (0.404, 0.826, 0.521)
O (0.078, 0.695, 0.674)
O (0.979, 0.805, 0.883)
O (0.521, 0.404, 0.826)
O (0.422, 0.096, 0.617)
O (0.814, 0.425, 0.820)
O (0.686, 0.506, 0.611)
O (0.105, 0.994, 0.680)
O (0.395, 0.075, 0.889)
O (0.075, 0.889, 0.395)
O (0.994, 0.680, 0.105)
O (0.506, 0.611, 0.686)
O (0.425, 0.820, 0.814)
O (0.611, 0.686, 0.506)
O (0.820, 0.814, 0.425)
O (0.889, 0.395, 0.075)
O (0.680, 0.105, 0.994)
O (0.195, 0.578, 0.174)
O (0.305, 0.479, 0.383)
O (0.904, 0.021, 0.326)
O (0.596, 0.922, 0.117)
O (0.922, 0.117, 0.596)
O (0.021, 0.326, 0.904)
O (0.479, 0.383, 0.305)
O (0.578, 0.174, 0.195)
O (0.383, 0.305, 0.479)
O (0.174, 0.195, 0.578)
O (0.117, 0.596, 0.922)
O (0.326, 0.904, 0.021)



Below is a geometry-optimized Nd6Al5Fe9 structure, with properties calculated at the meta-GGA r2SCAN level.

Properties
Space group = I4/mcm, No. 140

a = 8.164 Å, b = 8.164 Å, c = 13.276 Å
α = 107.90°, β = 107.90°, γ = 90.01°
Sites, in units of the cell vectors:
Nd (0.108, 0.108, 0.215)
Nd (0.892, 0.892, 0.785)
Nd (0.392, 0.392, 0.785)
Nd (0.608, 0.608, 0.215)
Nd (0.358, 0.858, 0.384)
Nd (0.642, 0.142, 0.616)
Nd (0.026, 0.526, 0.384)
Nd (0.526, 0.358, 0.384)
Nd (0.142, 0.974, 0.616)
Nd (0.974, 0.474, 0.616)
Nd (0.474, 0.642, 0.616)
Nd (0.858, 0.026, 0.384)
Al (0.713, 0.213, 0.189)
Al (0.287, 0.787, 0.811)
Al (0.476, 0.976, 0.189)
Al (0.976, 0.713, 0.189)
Al (0.787, 0.524, 0.811)
Al (0.524, 0.024, 0.811)
Al (0.024, 0.287, 0.811)
Al (0.213, 0.476, 0.189)
Al (0.250, 0.250, 0.500)
Al (0.750, 0.750, 0.500)
Fe (0.233, 0.733, 0.114)
Fe (0.767, 0.267, 0.886)
Fe (0.881, 0.380, 0.114)
Fe (0.381, 0.233, 0.114)
Fe (0.267, 0.119, 0.886)
Fe (0.119, 0.619, 0.886)
Fe (0.619, 0.767, 0.886)
Fe (0.733, 0.881, 0.114)
Fe (0.000, 0.500, 0.000)
Fe (0.500, 0.000, 0.000)
Fe (0.070, 0.210, 0.000)
Fe (0.930, 0.790, 0.000)
Fe (0.790, 0.070, 0.000)
Fe (0.430, 0.710, 0.000)
Fe (0.210, 0.930, 0.000)
Fe (0.570, 0.290, 0.000)
Fe (0.710, 0.570, 0.000)
Fe (0.290, 0.430, 0.000)



Below is a geometry-optimized Al2FeNi structure, with properties calculated at the meta-GGA r2SCAN level.

Properties
Space group = P4/mmm, No. 123

a = 2.871 Å, b = 2.871 Å, c = 5.595 Å
α = 90.00°, β = 90.00°, γ = 90.00°
Sites, in units of the cell vectors:
Al (0.000, 0.000, 0.740)
Al (0.000, 0.000, 0.260)
Fe (0.500, 0.500, 0.500)
Ni (0.500, 0.500, 0.000)



Below is a geometry-optimized PaAlFe2 structure, with properties calculated at the meta-GGA r2SCAN level.

Properties
Space group = Fm-3m, No. 225

a = 4.501 Å, b = 4.501 Å, c = 4.501 Å
α = 60.00°, β = 60.00°, γ = 60.00°
Sites, in units of the cell vectors:
Pa (0.000, 0.000, 0.000)
Al (0.500, 0.500, 0.500)
Fe (0.250, 0.250, 0.250)
Fe (0.750, 0.750, 0.750)



Number 1: formation energy from the elements -0.44 eV/atom, V 114 Å³/f.u., calculated density 6.8 g cm⁻³. Number 2: formation energy from the elements -0.39 eV/atom, V 188 Å³/f.u., calculated density 5.3 g cm⁻³. Number 3: formation energy from the elements -0.34 eV/atom, V 183 Å³/f.u., calculated density 6.0 g cm⁻³. Number 4: formation energy from the elements -0.30 eV/atom, V 196 Å³/f.u., calculated density 4.7 g cm⁻³. Number 5: formation energy from the elements -0.34 eV/atom, V 52 Å³/f.u., calculated density 8.2 g cm⁻³. Number 6: formation energy from the elements -0.45 eV/atom, V 110 Å³/f.u., calculated density 7.4 g cm⁻³. Number 7: formation energy from the elements -2.85 eV/atom, V 491 Å³/f.u., calculated density 4.2 g cm⁻³. Number 8: formation energy from the elements -2.89 eV/atom, V 573 Å³/f.u., calculated density 2.7 g cm⁻³. Number 9: formation energy from the elements -1.93 eV/atom, V 469 Å³/f.u., calculated density 4.5 g cm⁻³. Number 10: formation energy from the elements -0.20 eV/atom, V 398 Å³/f.u., calculated density 6.3 g cm⁻³. Number 11: formation energy from the elements -0.44 eV/atom, V 46 Å³/f.u., calculated density 6.1 g cm⁻³. Number 12: formation energy from the elements -0.04 eV/atom, V 64 Å³/f.u., calculated density 9.5 g cm⁻³.